[1]
Na2Ni2B12O21 | GGA+U | optimized geometry

Lattice parameters (Å, degrees): 23.041 4.511 17.142 90.00 123.95 90.00
Space group C2/c (No. 15)
Unique sites:
Na1 0.144 0.053 0.493 [8 per cell]
Ni1 0.048 0.008 0.106 [8 per cell]
B1 0.014 0.456 0.828 [8 per cell]
B2 0.056 0.494 0.993 [8 per cell]
B3 0.088 0.150 0.799 [8 per cell]
B4 0.160 0.472 0.156 [8 per cell]
B5 0.166 0.246 0.296 [8 per cell]
B6 0.246 0.366 0.819 [8 per cell]
O1 0.000 0.366 0.250 [4 per cell]
O2 0.026 0.361 0.407 [8 per cell]
O3 0.037 0.210 0.996 [8 per cell]
O4 0.048 0.237 0.706 [8 per cell]
O5 0.078 0.268 0.863 [8 per cell]
O6 0.104 0.357 0.575 [8 per cell]
O7 0.133 0.267 0.199 [8 per cell]
O8 0.146 0.040 0.336 [8 per cell]
O9 0.195 0.288 0.120 [8 per cell]
O10 0.207 0.313 0.725 [8 per cell]
O11 0.222 0.425 0.357 [8 per cell]

Output
Energy of formation, kcal/mol of atoms: -61.0
Total magnetic moment, μB per formula unit: 4.00



[2]
Na3NiB2O6 | GGA+U | optimized geometry

Lattice parameters (Å, degrees): 5.611 9.560 11.372 90.00 114.56 90.00
Space group P2_1/c (No. 14)
Unique sites:
Na1 0.011 0.030 0.356 [4 per cell]
Na2 0.038 0.160 0.875 [4 per cell]
Na3 0.431 0.511 0.619 [4 per cell]
Ni1 0.485 0.189 0.627 [4 per cell]
B1 0.055 0.690 0.382 [4 per cell]
B2 0.477 0.649 0.132 [4 per cell]
O1 0.141 0.687 0.847 [4 per cell]
O2 0.166 0.195 0.093 [4 per cell]
O3 0.182 0.565 0.388 [4 per cell]
O4 0.366 0.178 0.432 [4 per cell]
O5 0.390 0.737 0.681 [4 per cell]
O6 0.406 0.515 0.152 [4 per cell]

Output
Energy of formation, kcal/mol of atoms: -49.4
Total magnetic moment, μB per formula unit: 1.00



[3]
NaNiBP2O11 | GGA+U | optimized geometry

Lattice parameters (Å, degrees): 9.1752 9.1752 16.1930 90.00 90.00 120.00
Space group P6_122 (No. 178)
Unique sites:
Na1 0.1959 0.3918 0.2500 [6 per cell]
Ni1 0.1296 0.5648 0.0833 [6 per cell]
B1 0.1573 0.3146 0.7500 [6 per cell]
P1 0.1757 0.3980 0.9160 [12 per cell]
O1 0.0000 0.1616 0.3333 [6 per cell]
O2 0.0214 0.2213 0.9347 [12 per cell]
O3 0.0630 0.3929 0.5500 [12 per cell]
O4 0.1538 0.5367 0.9566 [12 per cell]
O5 0.1869 0.4289 0.8204 [12 per cell]
O6 0.1999 0.4671 0.3963 [12 per cell]

Output
Energy of formation, kcal/mol of atoms: -38.9
Total magnetic moment, μB per formula unit: 8.00



no.,calculated volume (Å³/f.u.),mass density (Mg/m³)
1,369.5,2.8
2,138.7,2.9
3,196.8,2.8